(1)
Computed, not measured: a relaxed CsCuF4 crystal at the PBE level of DFT.

The structure belongs to space group I4/mcm (No. 140); the cell edges are 6.313, 6.313 and 12.345 Å and the angles 90.00°, 90.00° and 90.00°. The asymmetric unit holds Cs at (0.000, 0.000, 0.250), Cu at (0.000, 0.500, 0.000) and F at (0.141, 0.359, 0.101).

Its formation energy is -13.4 eV per formula unit. The calculation puts the uncorrected energy at -96.816 eV for the cell shown.

(2)
Computed, not measured: a relaxed SiO2 crystal at the PBE level of DFT.

The structure belongs to space group P-31c (No. 163); the cell edges are 8.2888, 8.2888 and 7.5469 Å and the angles 90.00°, 90.00° and 120.00°. The asymmetric unit holds Si at (0.0605, 0.3504, 0.0726), O at (0.0000, 0.5000, 0.0000), O at (0.1435, 0.3081, 0.5883) and O at (0.1990, 0.3981, 0.2500).

Its formation energy is -9.1 eV per formula unit. Its magnetic moment is 0.00 μB/cell. The calculation puts the uncorrected energy at -276.335 eV for the cell shown.

(3)
Computed, not measured: a relaxed Ba3SrO4 crystal at the PBE level of DFT.

The structure belongs to space group Pm-3m (No. 221); the cell edges are 5.532, 5.532 and 5.532 Å and the angles 90.00°, 90.00° and 90.00°. The asymmetric unit holds Ba at (0.000, 0.000, 0.500), Sr at (0.500, 0.500, 0.500), O at (0.000, 0.000, 0.000) and O at (0.000, 0.500, 0.500).

Its formation energy is -22.8 eV per formula unit. Its magnetic moment is 0.00 μB/cell. The calculation puts the uncorrected energy at -47.292 eV for the cell shown.

(4)
Computed, not measured: a relaxed NaCuF3 crystal at the PBE level of DFT.

The structure belongs to space group P2_1/c (No. 14); the cell edges are 5.439, 5.629 and 9.484 Å and the angles 90.00°, 124.48° and 90.00°. The asymmetric unit holds Na at (0.230, 0.056, 0.246), Cu at (0.000, 0.000, 0.500), Cu at (0.500, 0.000, 0.000), F at (0.148, 0.209, 0.949), F at (0.238, 0.705, 0.942) and F at (0.354, 0.034, 0.754).

Its formation energy is -11.5 eV per formula unit. The calculation puts the uncorrected energy at -85.118 eV for the cell shown.

(5)
Computed, not measured: a relaxed ZnSeO4 crystal at the PBE level of DFT.

The structure belongs to space group Cmcm (No. 63); the cell edges are 5.577, 8.291 and 6.597 Å and the angles 90.00°, 90.00° and 90.00°. The asymmetric unit holds Zn at (0.000, 0.000, 0.000), Se at (0.000, 0.351, 0.250), O at (0.000, 0.245, 0.037) and O at (0.245, 0.474, 0.250).

Its formation energy is -8.1 eV per formula unit. The calculation puts the uncorrected energy at -119.604 eV for the cell shown.

(6)
Computed, not measured: a relaxed NaMgRuO3 crystal at the PBE level of DFT.

The structure belongs to space group Cm (No. 8); the cell edges are 5.574, 5.559 and 5.393 Å and the angles 90.00°, 112.34° and 90.00°. The asymmetric unit holds Na at (0.000, 0.000, 0.000), Mg at (0.189, 0.500, 0.391), Ru at (0.300, 0.000, 0.643), O at (0.007, 0.236, 0.535) and O at (0.076, 0.500, 0.003).

The value obtained for the energy above the lowest structure with this stoichiometry is 0.00 eV per formula unit. Its formation energy is -10.0 eV per formula unit. Its magnetic moment is 2.00 μB/cell. The calculation puts the uncorrected energy at -69.971 eV for the cell shown.

(7)
Computed, not measured: a relaxed Np3Se4 crystal at the PBE level of DFT.

The structure belongs to space group I-43d (No. 220); the cell edges are 8.401, 8.401 and 8.401 Å and the angles 90.00°, 90.00° and 90.00°. The asymmetric unit holds Np at (0.000, 0.250, 0.875) and Se at (0.077, 0.423, 0.577).

Its formation energy is -9.7 eV per formula unit. Its magnetic moment is 51.96 μB/cell. The calculation puts the uncorrected energy at -242.361 eV for the cell shown.

(8)
Computed, not measured: a relaxed Ba2BiIrO6 crystal at the PBE level of DFT.

The structure belongs to space group P-1 (No. 2); the cell edges are 6.044, 6.057 and 6.059 Å and the angles 60.54°, 60.72° and 60.22°. The asymmetric unit holds Ba at (0.247, 0.253, 0.254), Bi at (0.000, 0.000, 0.000), Ir at (0.500, 0.500, 0.500), O at (0.239, 0.297, 0.715), O at (0.247, 0.773, 0.689) and O at (0.321, 0.717, 0.217).

The value obtained for the energy above the lowest structure with this stoichiometry is 0.00 eV per formula unit. Its formation energy is -21.3 eV per formula unit. Its magnetic moment is 2.00 μB/cell. The calculation puts the uncorrected energy at -63.402 eV for the cell shown.